--- 1 ---
Density functional theory data (PBE with a Hubbard U) for a geometry-optimized LiV2S3O12 structure.

Cell lengths 8.5634, 8.8933, 12.1831 Å; angles 90.00, 89.40, 90.00 degrees
Sites, in units of the cell vectors:
Li (0.6902, 0.7806, 0.3200)
S (0.5383, 0.2545, 0.0078)
Li (0.1902, 0.7194, 0.8200)
O (0.5372, 0.8616, 0.0577)
O (0.5617, 0.8849, 0.6220)
O (0.9383, 0.3849, 0.8780)
O (0.3334, 0.7458, 0.6854)
S (0.0383, 0.2455, 0.5078)
S (0.3968, 0.6218, 0.3472)
S (0.6032, 0.3782, 0.6528)
O (0.6432, 0.9879, 0.2732)
O (0.4628, 0.1384, 0.9423)
O (0.8236, 0.6907, 0.4345)
O (0.9357, 0.0911, 0.1790)
O (0.4101, 0.6238, 0.0668)
O (0.1390, 0.0821, 0.0390)
O (0.2946, 0.5318, 0.2735)
O (0.1764, 0.3093, 0.5655)
O (0.8610, 0.9179, 0.9610)
O (0.6946, 0.0660, 0.4569)
O (0.3610, 0.5821, 0.4610)
O (0.7054, 0.4682, 0.7265)
V (0.7456, 0.5342, 0.8833)
O (0.8568, 0.4879, 0.2268)
O (0.5899, 0.3762, 0.9332)
S (0.4617, 0.7455, 0.9922)
V (0.2456, 0.9658, 0.3833)
O (0.3568, 0.0121, 0.7268)
S (0.1032, 0.1218, 0.1528)
O (0.2054, 0.0318, 0.2265)
O (0.6764, 0.1907, 0.0655)
O (0.8054, 0.5660, 0.0431)
O (0.1946, 0.4340, 0.9569)
O (0.9628, 0.3616, 0.4423)
O (0.1221, 0.2867, 0.1722)
O (0.0643, 0.9089, 0.8210)
V (0.7544, 0.0342, 0.6167)
S (0.6090, 0.1069, 0.3560)
Li (0.8098, 0.2806, 0.1800)
O (0.4303, 0.3140, 0.0957)
O (0.4357, 0.4089, 0.6790)
O (0.0372, 0.6384, 0.5577)
O (0.3054, 0.9340, 0.5431)
O (0.4383, 0.1151, 0.3780)
V (0.7537, 0.4626, 0.3897)
O (0.7946, 0.9682, 0.7735)
Li (0.3098, 0.2194, 0.6800)
O (0.8334, 0.7542, 0.1854)
O (0.9101, 0.8762, 0.5668)
O (0.0617, 0.6151, 0.1220)
O (0.6221, 0.2133, 0.6722)
O (0.8779, 0.7133, 0.8278)
S (0.1090, 0.3931, 0.8560)
V (0.2544, 0.4658, 0.1167)
S (0.8968, 0.8782, 0.8472)
O (0.6666, 0.2542, 0.3146)
O (0.3236, 0.8093, 0.9345)
V (0.2537, 0.0374, 0.8897)
O (0.5697, 0.6860, 0.9043)
O (0.1432, 0.5121, 0.7732)
V (0.7463, 0.9626, 0.1103)
O (0.0697, 0.8140, 0.4043)
S (0.3910, 0.8931, 0.6440)
S (0.9617, 0.7545, 0.4922)
O (0.1666, 0.2458, 0.8146)
O (0.9303, 0.1860, 0.5957)
O (0.5643, 0.5911, 0.3210)
O (0.6390, 0.4179, 0.5390)
O (0.3779, 0.7867, 0.3278)
S (0.8910, 0.6069, 0.1440)
O (0.0899, 0.1238, 0.4332)
V (0.2463, 0.5374, 0.6103)

## Properties
Magnetization = 19.999 μB per cell
Space group = P2_1/c, No. 14
Density = 2.8 g cm⁻³
Crystal system = monoclinic

***

--- 2 ---
Density functional theory data (PBE with a Hubbard U) for a geometry-optimized LiV2S3O12 structure.

Cell lengths 8.7856, 8.7856, 8.7856 Å; angles 59.48, 59.48, 59.48 degrees
Sites, in units of the cell vectors:
V (0.1428, 0.1428, 0.1428)
O (0.0927, 0.7281, 0.9406)
S (0.5440, 0.9560, 0.2500)
O (0.2281, 0.5927, 0.4406)
V (0.6428, 0.6428, 0.6428)
O (0.4930, 0.8950, 0.6919)
S (0.2500, 0.5440, 0.9560)
O (0.5070, 0.1050, 0.3081)
O (0.0594, 0.9073, 0.2719)
Li (0.5000, 0.5000, 0.5000)
O (0.7719, 0.4073, 0.5594)
S (0.7500, 0.4560, 0.0440)
S (0.9560, 0.2500, 0.5440)
O (0.4406, 0.2281, 0.5927)
V (0.3572, 0.3572, 0.3572)
O (0.9406, 0.0927, 0.7281)
O (0.1919, 0.3950, 0.9930)
O (0.9073, 0.2719, 0.0594)
O (0.5927, 0.4406, 0.2281)
S (0.0440, 0.7500, 0.4560)
O (0.2719, 0.0594, 0.9073)
V (0.8572, 0.8572, 0.8572)
S (0.4560, 0.0440, 0.7500)
O (0.8950, 0.6919, 0.4930)
O (0.5594, 0.7719, 0.4073)
O (0.8081, 0.6050, 0.0070)
O (0.9930, 0.1919, 0.3950)
O (0.0070, 0.8081, 0.6050)
O (0.3950, 0.9930, 0.1919)
O (0.7281, 0.9406, 0.0927)
O (0.1050, 0.3081, 0.5070)
O (0.3081, 0.5070, 0.1050)
O (0.4073, 0.5594, 0.7719)
O (0.6919, 0.4930, 0.8950)
Li (0.0000, 0.0000, 0.0000)
O (0.6050, 0.0070, 0.8081)

## Properties
Magnetization = 9.999 μB per cell
Space group = R-3c, No. 167
Density = 2.8 g cm⁻³
Crystal system = trigonal

***

1 (2.0 kJ/mol of atoms below the next structure)

***

--- 1 ---
Density functional theory data (PBE with a Hubbard U) for a geometry-optimized Li4V3Sn3Sb2O16 structure.

Cell lengths 6.2454, 6.1341, 10.2802 Å; angles 90.01, 89.44, 119.41 degrees
Sites, in units of the cell vectors:
O (0.3357, 0.6679, 0.1048)
O (0.5296, 0.0357, 0.8288)
Sb (0.6736, 0.3368, 0.9905)
V (0.8289, 0.1769, 0.7150)
Li (0.6675, 0.3337, 0.3989)
Sn (0.1682, 0.3351, 0.2154)
O (0.3057, 0.1528, 0.0932)
O (0.8419, 0.6947, 0.1076)
O (0.9972, 0.9986, 0.8123)
Li (0.9864, 0.9932, 0.5001)
O (0.1436, 0.3123, 0.6012)
O (0.1436, 0.8312, 0.6012)
V (0.6597, 0.8298, 0.2175)
O (0.0348, 0.5173, 0.3425)
V (0.8288, 0.6520, 0.7150)
Li (0.9799, 0.9899, 0.9915)
Sn (0.1681, 0.8330, 0.2154)
O (0.9938, 0.9969, 0.3187)
O (0.7126, 0.8564, 0.6226)
Sb (0.3366, 0.6684, 0.4998)
O (0.6592, 0.3296, 0.6051)
Li (0.3425, 0.6713, 0.8920)
Sn (0.3297, 0.1649, 0.7149)
O (0.5297, 0.4940, 0.8288)
O (0.4936, 0.5184, 0.3229)
O (0.4935, 0.9751, 0.3230)
O (0.8418, 0.1473, 0.1076)
O (0.9738, 0.4869, 0.8218)

## Properties
Magnetization = 5.000 μB per cell
Space group = Cm, No. 8
Density = 5.0 g cm⁻³
Crystal system = monoclinic

***

--- 2 ---
Density functional theory data (PBE with a Hubbard U) for a geometry-optimized Li4V3Sn3Sb2O16 structure.

Cell lengths 6.2591, 10.7867, 10.2674 Å; angles 90.25, 89.54, 90.54 degrees
Sites, in units of the cell vectors:
V (0.4981, 0.6695, 0.7170)
O (0.9949, 0.6681, 0.1040)
V (0.0013, 0.1685, 0.7126)
O (0.7686, 0.9245, 0.1066)
O (0.2304, 0.9240, 0.0952)
O (0.9980, 0.9983, 0.8133)
O (0.7828, 0.2560, 0.8283)
Sn (0.7567, 0.4187, 0.7147)
O (0.5029, 0.5012, 0.8156)
Li (0.0025, 0.6637, 0.8930)
Li (0.9881, 0.0038, 0.9914)
Li (0.4881, 0.5041, 0.9938)
Sb (0.5075, 0.1644, 0.5005)
Li (0.4945, 0.8329, 0.3990)
Li (0.5099, 0.1657, 0.8911)
O (0.7301, 0.4224, 0.0950)
O (0.2413, 0.2685, 0.8190)
V (0.2456, 0.5843, 0.2169)
O (0.2861, 0.5719, 0.6227)
Sb (0.0050, 0.3319, 0.9925)
Sn (0.2470, 0.9143, 0.7166)
V (0.7432, 0.9149, 0.7126)
Sb (0.9948, 0.6683, 0.4967)
O (0.4969, 0.6524, 0.1082)
O (0.2288, 0.7424, 0.3264)
O (0.4975, 0.3493, 0.6045)
O (0.5038, 0.0136, 0.3276)
O (0.7321, 0.2421, 0.3252)
O (0.2683, 0.2436, 0.3344)
Sb (0.5032, 0.8318, 0.9910)
O (0.7753, 0.7413, 0.3435)
V (0.7466, 0.0849, 0.2164)
O (0.0130, 0.3434, 0.6081)
O (0.7224, 0.5835, 0.6012)
O (0.0005, 0.0000, 0.3175)
Sn (0.2529, 0.0845, 0.2157)
Sn (0.4993, 0.3313, 0.2159)
O (0.2696, 0.4262, 0.1064)
O (0.7753, 0.0750, 0.6098)
Li (0.9942, 0.0024, 0.4977)
V (0.2501, 0.4144, 0.7187)
O (0.2755, 0.7506, 0.8307)
O (0.0008, 0.5141, 0.3251)
O (0.2298, 0.0783, 0.6038)
Li (0.4915, 0.5023, 0.4990)
Li (0.0008, 0.3354, 0.3957)
Sn (0.7516, 0.5828, 0.2154)
Sn (0.0011, 0.8324, 0.2149)
O (0.7140, 0.7465, 0.8191)
O (0.4996, 0.4994, 0.3185)
O (0.9965, 0.1526, 0.1048)
O (0.0148, 0.4860, 0.8296)
O (0.4974, 0.1673, 0.1032)
O (0.5059, 0.9816, 0.8302)
O (0.9869, 0.8449, 0.6008)
O (0.4871, 0.8242, 0.6085)

## Properties
Magnetization = 10.000 μB per cell
Space group = P1, No. 1
Density = 5.0 g cm⁻³
Crystal system = triclinic

***

2 (1.0 kJ/mol of atoms below the next structure)

***

--- 1 ---
Density functional theory data (PBE with a Hubbard U) for a geometry-optimized Li4Ti3V3Sb2O16 structure.

Cell lengths 6.0189, 10.3630, 10.5454 Å; angles 89.79, 89.60, 89.76 degrees
Sites, in units of the cell vectors:
O (0.0075, 0.0023, 0.3112)
O (0.2341, 0.9212, 0.6064)
O (0.4896, 0.9924, 0.3140)
Li (0.9979, 0.6676, 0.3897)
O (0.2266, 0.7539, 0.8143)
O (0.0071, 0.9988, 0.8109)
O (0.2309, 0.2492, 0.3148)
V (0.2447, 0.4151, 0.2132)
V (0.7447, 0.9151, 0.2133)
Sb (0.0011, 0.6679, 0.0149)
Ti (0.5042, 0.6731, 0.2230)
O (0.7746, 0.9184, 0.6108)
O (0.9847, 0.3287, 0.1116)
V (0.7449, 0.0841, 0.7136)
O (0.5070, 0.4989, 0.8110)
O (0.2679, 0.7560, 0.3181)
O (0.7665, 0.0787, 0.1069)
O (0.7341, 0.4212, 0.6064)
O (0.7309, 0.7492, 0.3147)
Ti (0.0042, 0.1731, 0.2230)
O (0.9897, 0.4924, 0.3139)
Li (0.4978, 0.1676, 0.3898)
Ti (0.2624, 0.0859, 0.7275)
O (0.9852, 0.6676, 0.6114)
Li (0.4991, 0.8338, 0.8920)
Li (0.0016, 0.9995, 0.9932)
Ti (0.7626, 0.4167, 0.2234)
O (0.4982, 0.6569, 0.6072)
Li (0.5015, 0.4995, 0.9932)
Sb (0.0035, 0.3331, 0.5163)
Ti (0.2626, 0.9167, 0.2234)
O (0.2747, 0.4183, 0.6107)
O (0.5001, 0.3437, 0.1075)
O (0.0001, 0.8437, 0.1075)
O (0.7320, 0.5776, 0.1051)
O (0.5075, 0.5023, 0.3112)
O (0.7639, 0.7430, 0.8192)
Li (0.9991, 0.3338, 0.8920)
Sb (0.5011, 0.1678, 0.0149)
O (0.9982, 0.1569, 0.6072)
Ti (0.7625, 0.5859, 0.7274)
V (0.5082, 0.3264, 0.7198)
Sb (0.5035, 0.8332, 0.5163)
V (0.0083, 0.8264, 0.7198)
O (0.4847, 0.8287, 0.1116)
V (0.2451, 0.5840, 0.7136)
O (0.9928, 0.5086, 0.8171)
O (0.7267, 0.2539, 0.8142)
O (0.4849, 0.1677, 0.6113)
O (0.2640, 0.2431, 0.8192)
Li (0.0079, 0.0000, 0.4948)
O (0.7679, 0.2560, 0.3181)
Li (0.5079, 0.4999, 0.4948)
O (0.4928, 0.0087, 0.8172)
O (0.2320, 0.0776, 0.1051)
O (0.2665, 0.5787, 0.1069)

## Properties
Magnetization = 10.000 μB per cell
Density = 4.2 g cm⁻³

***

--- 2 ---
Density functional theory data (PBE with a Hubbard U) for a geometry-optimized Li4Ti3V3Sb2O16 structure.

Cell lengths 5.9446, 5.9446, 10.4923 Å; angles 89.79, 89.79, 59.89 degrees
Sites, in units of the cell vectors:
Ti (0.1734, 0.1734, 0.7269)
Ti (0.3398, 0.8304, 0.2168)
O (0.1527, 0.1527, 0.1013)
V (0.6457, 0.1850, 0.7196)
Li (0.9961, 0.9961, 0.9889)
O (0.5099, 0.5099, 0.3123)
O (0.6599, 0.6599, 0.1063)
O (0.9824, 0.5067, 0.3114)
V (0.8260, 0.8260, 0.2128)
O (0.4856, 0.0268, 0.8280)
Li (0.6697, 0.6697, 0.9015)
O (0.0268, 0.4856, 0.8280)
O (0.8463, 0.8463, 0.6156)
Li (0.0026, 0.0026, 0.4981)
O (0.1482, 0.6934, 0.1039)
Li (0.3349, 0.3349, 0.3887)
V (0.1850, 0.6457, 0.7196)
O (0.0018, 0.0018, 0.3116)
O (0.4904, 0.4904, 0.8260)
O (0.5067, 0.9824, 0.3114)
O (0.8400, 0.3198, 0.6104)
Ti (0.8304, 0.3398, 0.2168)
O (0.3198, 0.8400, 0.6104)
O (0.0006, 0.0006, 0.8088)
Sb (0.6724, 0.6724, 0.5162)
Sb (0.3335, 0.3335, 0.0044)
O (0.6934, 0.1482, 0.1039)
O (0.3294, 0.3294, 0.6081)

## Properties
Magnetization = 5.000 μB per cell
Space group = Cm, No. 8
Density = 4.3 g cm⁻³
Crystal system = monoclinic

***

1 (1.8 kJ/mol of atoms below the next structure)

***

--- 1 ---
Density functional theory data (PBE with a Hubbard U) for a geometry-optimized Li2V3SbO8 structure.

Cell lengths 6.0009, 9.7726, 6.0121 Å; angles 89.83, 60.10, 89.91 degrees
Sites, in units of the cell vectors:
O (0.0369, 0.3455, 0.4856)
Li (0.6667, 0.4032, 0.6660)
O (0.5184, 0.8458, 0.5183)
O (0.1658, 0.5929, 0.6689)
O (0.9999, 0.8071, 0.0001)
V (0.8293, 0.7142, 0.8298)
V (0.1713, 0.2143, 0.1698)
O (0.4793, 0.3453, 0.0377)
Sb (0.3331, 0.4877, 0.3357)
O (0.8354, 0.0932, 0.3309)
O (0.6668, 0.6081, 0.6670)
V (0.1704, 0.2138, 0.6576)
Li (0.0003, 0.9914, 0.9987)
V (0.3410, 0.7142, 0.8298)
Li (0.3332, 0.9035, 0.3334)
O (0.5180, 0.8449, 0.9629)
O (0.3316, 0.0929, 0.8311)
O (0.0008, 0.3045, 0.9988)
V (0.6583, 0.2146, 0.1710)
O (0.8316, 0.0925, 0.8349)
O (0.6682, 0.5930, 0.1659)
V (0.8294, 0.7145, 0.3413)
O (0.3337, 0.1075, 0.3334)
O (0.1658, 0.5925, 0.1666)
O (0.4850, 0.3473, 0.4795)
Sb (0.6666, 0.9878, 0.6669)
O (0.9633, 0.8454, 0.5183)
Li (0.0004, 0.4902, 0.0000)

## Properties
Magnetization = 0.001 μB per cell
Space group = P1, No. 1
Density = 4.5 g cm⁻³
Crystal system = triclinic

***

--- 2 ---
Density functional theory data (PBE with a Hubbard U) for a geometry-optimized Li2V3SbO8 structure.

Cell lengths 6.0391, 10.7130, 6.0390 Å; angles 73.66, 60.02, 73.67 degrees
Sites, in units of the cell vectors:
O (0.8588, 0.8762, 0.8588)
Li (0.9346, 0.1963, 0.9346)
V (0.0000, 0.5000, 0.5000)
O (0.1412, 0.1238, 0.5939)
V (0.5000, 0.5000, 0.0000)
O (0.3589, 0.3761, 0.3589)
V (0.5000, 0.0000, 0.5000)
O (0.3589, 0.3762, 0.9062)
O (0.6411, 0.6238, 0.0938)
O (0.4061, 0.8762, 0.8588)
Li (0.4346, 0.6963, 0.4346)
Sb (0.7499, 0.7499, 0.7499)
Li (0.0654, 0.8037, 0.0654)
Sb (0.2501, 0.2501, 0.2501)
O (0.8588, 0.8762, 0.4061)
V (0.0000, 0.5000, 0.0000)
V (0.5000, 0.0000, 0.0000)
O (0.6411, 0.6239, 0.6411)
O (0.3671, 0.8988, 0.3671)
O (0.8671, 0.3987, 0.8671)
O (0.1412, 0.1238, 0.1412)
Li (0.5654, 0.3037, 0.5654)
O (0.5939, 0.1238, 0.1412)
O (0.0938, 0.6238, 0.6411)
O (0.6329, 0.1012, 0.6329)
V (0.0000, 0.0000, 0.5000)
O (0.9062, 0.3762, 0.3589)
O (0.1329, 0.6013, 0.1329)

## Properties
Magnetization = 0.006 μB per cell
Density = 4.3 g cm⁻³

***

2 (0.9 kJ/mol of atoms below the next structure)